A plane-wave DFT calculation with PBE-GGA was carried out for an optimized crystal structure of U2Si3Ni.

Structure (CIF):
```
data_U2Si3Ni
_chemical_formula_sum 'U2 Si3 Ni1'
_cell_length_a 3.8525
_cell_length_b 4.0049
_cell_length_c 6.8526
_cell_angle_alpha 90.00
_cell_angle_beta 90.00
_cell_angle_gamma 90.00
_space_group_name_H-M_alt 'P 1'
_space_group_IT_number 1
_space_group_name_Hall 'P 1'
loop_
_atom_site_label
_atom_site_type_symbol
_atom_site_fract_x
_atom_site_fract_y
_atom_site_fract_z
_atom_site_occupancy
Si1 Si 0.5000 0.0000 0.8347 1
Si2 Si 0.5000 0.0000 0.1746 1
Si3 Si 0.5000 0.5000 0.6588 1
Ni1 Ni 0.5000 0.5000 0.3317 1
U1 U 0.0000 0.5000 0.9994 1
U2 U 0.0000 0.0000 0.5008 1
```

- Space-group type: Pmm2, No. 25
- Formation energy from the elements: -35 kJ/mol of atoms


A plane-wave DFT calculation with PBE-GGA was carried out for an optimized crystal structure of CeS3.

Structure (CIF):
```
data_CeS3
_chemical_formula_sum 'Ce1 S3'
_cell_length_a 5.6667
_cell_length_b 5.6667
_cell_length_c 5.6667
_cell_angle_alpha 139.39
_cell_angle_beta 139.39
_cell_angle_gamma 58.78
_space_group_name_H-M_alt 'P 1'
_space_group_IT_number 1
_space_group_name_Hall 'P 1'
loop_
_atom_site_label
_atom_site_type_symbol
_atom_site_fract_x
_atom_site_fract_y
_atom_site_fract_z
_atom_site_occupancy
S1 S 0.5000 0.5000 0.0000 1
S2 S 0.2500 0.7500 0.5000 1
S3 S 0.7500 0.2500 0.5000 1
Ce1 Ce 0.0000 0.0000 0.0000 1
```

- Total energy after the MP2020 corrections: -23.65 eV/cell
- Space-group type: I4/mmm, No. 139
- Formation energy from the elements: -128 kJ/mol of atoms


- Among the records above, which one has the lowest formation energy from the elements?
  CeS3


- Look up the formation energy from the elements of the first one.
  -35 kJ/mol of atoms


Repeat the first record exactly.
A plane-wave DFT calculation with PBE-GGA was carried out for an optimized crystal structure of U2Si3Ni.

Structure (CIF):
```
data_U2Si3Ni
_chemical_formula_sum 'U2 Si3 Ni1'
_cell_length_a 3.8525
_cell_length_b 4.0049
_cell_length_c 6.8526
_cell_angle_alpha 90.00
_cell_angle_beta 90.00
_cell_angle_gamma 90.00
_space_group_name_H-M_alt 'P 1'
_space_group_IT_number 1
_space_group_name_Hall 'P 1'
loop_
_atom_site_label
_atom_site_type_symbol
_atom_site_fract_x
_atom_site_fract_y
_atom_site_fract_z
_atom_site_occupancy
Si1 Si 0.5000 0.0000 0.8347 1
Si2 Si 0.5000 0.0000 0.1746 1
Si3 Si 0.5000 0.5000 0.6588 1
Ni1 Ni 0.5000 0.5000 0.3317 1
U1 U 0.0000 0.5000 0.9994 1
U2 U 0.0000 0.0000 0.5008 1
```

- Space-group type: Pmm2, No. 25
- Formation energy from the elements: -35 kJ/mol of atoms


- Among the records above, which one has the lowest formation energy from the elements?
  CeS3